Record 1
Compound: Li2Mn3O6
Source: the Materials Project
Functional: GGA+U
Structure: optimized geometry

```
Li2Mn3O6
1.0
6.553 0.000 0.000
0.889 6.574 0.000
1.541 1.771 15.790
Li Mn O
12 18 36
Direct
0.000 0.000 0.000 Li
0.001 0.005 0.325 Li
0.164 0.838 0.829 Li
0.173 0.831 0.496 Li
0.334 0.667 0.995 Li
0.336 0.668 0.329 Li
0.342 0.664 0.663 Li
0.499 0.504 0.162 Li
0.669 0.334 0.662 Li
0.671 0.333 0.992 Li
0.672 0.330 0.332 Li
0.997 0.004 0.661 Li
0.089 0.420 0.578 Mn
0.090 0.422 0.246 Mn
0.091 0.426 0.912 Mn
0.241 0.239 0.080 Mn
0.246 0.241 0.414 Mn
0.250 0.246 0.747 Mn
0.426 0.093 0.911 Mn
0.426 0.094 0.244 Mn
0.434 0.098 0.578 Mn
0.582 0.913 0.412 Mn
0.582 0.914 0.080 Mn
0.583 0.905 0.747 Mn
0.756 0.762 0.577 Mn
0.759 0.757 0.913 Mn
0.761 0.759 0.244 Mn
0.904 0.570 0.748 Mn
0.911 0.575 0.414 Mn
0.916 0.573 0.081 Mn
0.024 0.689 0.298 O
0.037 0.717 0.949 O
0.040 0.698 0.609 O
0.151 0.147 0.213 O
0.152 0.146 0.547 O
0.161 0.142 0.864 O
0.180 0.520 0.459 O
0.183 0.519 0.781 O
0.196 0.519 0.114 O
0.300 0.960 0.376 O
0.300 0.968 0.715 O
0.315 0.977 0.027 O
0.358 0.356 0.633 O
0.365 0.359 0.950 O
0.371 0.375 0.282 O
0.477 0.819 0.545 O
0.478 0.820 0.879 O
0.492 0.814 0.199 O
0.517 0.184 0.791 O
0.521 0.188 0.112 O
0.522 0.189 0.444 O
0.632 0.637 0.048 O
0.641 0.633 0.699 O
0.648 0.648 0.360 O
0.691 0.020 0.966 O
0.698 0.034 0.625 O
0.700 0.026 0.284 O
0.807 0.486 0.214 O
0.815 0.482 0.881 O
0.822 0.484 0.534 O
0.851 0.848 0.124 O
0.863 0.847 0.447 O
0.863 0.849 0.779 O
0.972 0.308 0.374 O
0.975 0.307 0.033 O
0.981 0.313 0.692 O
```

Calculated values
The calculation puts the formation energy at -2.04 eV per atom. The energy with MP2020 corrections comes out at -500.78 eV/cell. Its total magnetic moment is 11.00 μB per formula unit. For the energy above the most stable polymorph in this dataset, the calculation gives 0.34 eV/f.u.


Record 2
Compound: Li8Mn5Fe3B8O24
Source: the Materials Project
Functional: GGA+U
Structure: optimized geometry

```
Li8Mn5Fe3B8O24
1.0
5.233 0.000 0.000
0.060 6.013 0.000
0.336 2.254 16.046
Li Mn Fe B O
8 5 3 8 24
Direct
0.000 0.000 0.000 Li
0.000 0.498 0.501 Li
0.199 0.374 0.031 Li
0.200 0.873 0.533 Li
0.500 0.248 0.251 Li
0.501 0.749 0.751 Li
0.698 0.122 0.782 Li
0.700 0.623 0.283 Li
0.016 0.087 0.181 Mn
0.016 0.584 0.682 Mn
0.183 0.785 0.352 Mn
0.517 0.335 0.432 Mn
0.683 0.538 0.101 Mn
0.191 0.285 0.851 Fe
0.511 0.837 0.931 Fe
0.690 0.034 0.601 Fe
0.019 0.275 0.343 B
0.021 0.773 0.845 B
0.181 0.098 0.690 B
0.181 0.596 0.190 B
0.518 0.026 0.092 B
0.520 0.524 0.594 B
0.680 0.349 0.938 B
0.682 0.846 0.441 B
0.027 0.731 0.235 O
0.032 0.229 0.738 O
0.059 0.982 0.633 O
0.067 0.476 0.133 O
0.133 0.395 0.400 O
0.142 0.891 0.901 O
0.170 0.639 0.798 O
0.172 0.141 0.298 O
0.259 0.045 0.079 O
0.261 0.545 0.579 O
0.439 0.577 0.204 O
0.440 0.076 0.701 O
0.529 0.483 0.985 O
0.529 0.980 0.488 O
0.559 0.230 0.882 O
0.567 0.728 0.384 O
0.633 0.144 0.149 O
0.634 0.645 0.650 O
0.670 0.892 0.045 O
0.672 0.388 0.549 O
0.760 0.294 0.329 O
0.762 0.796 0.832 O
0.938 0.326 0.951 O
0.940 0.827 0.455 O
```

Calculated values
The calculation puts the formation energy at -2.44 eV per atom. The energy with MP2020 corrections comes out at -375.77 eV/cell. Its total magnetic moment is 37.00 μB per formula unit. For the energy above the most stable polymorph in this dataset, the calculation gives 0.10 eV/f.u.


Record 3
Compound: V2ZnO4
Source: the Materials Project
Functional: GGA+U
Structure: optimized geometry

```
V2ZnO4
1.0
6.067 0.000 0.000
-3.034 5.254 0.000
0.000 0.000 14.912
V Zn O
12 6 24
Direct
0.000 0.000 0.000 V
0.000 0.000 0.375 V
0.168 0.336 0.209 V
0.168 0.832 0.209 V
0.333 0.166 0.541 V
0.501 0.001 0.874 V
0.501 0.499 0.874 V
0.664 0.832 0.209 V
0.667 0.333 0.707 V
0.834 0.166 0.541 V
0.834 0.667 0.541 V
0.999 0.499 0.874 V
0.000 0.000 0.749 Zn
0.333 0.667 0.043 Zn
0.333 0.667 0.416 Zn
0.333 0.667 0.666 Zn
0.667 0.333 0.088 Zn
0.667 0.333 0.332 Zn
0.000 0.000 0.131 O
0.000 0.000 0.613 O
0.023 0.511 0.133 O
0.152 0.303 0.461 O
0.152 0.848 0.461 O
0.174 0.348 0.952 O
0.174 0.826 0.952 O
0.305 0.152 0.288 O
0.333 0.667 0.283 O
0.333 0.667 0.803 O
0.362 0.181 0.794 O
0.489 0.511 0.133 O
0.489 0.977 0.133 O
0.514 0.028 0.622 O
0.514 0.486 0.622 O
0.652 0.826 0.952 O
0.667 0.333 0.469 O
0.667 0.333 0.947 O
0.697 0.848 0.461 O
0.819 0.181 0.794 O
0.819 0.638 0.794 O
0.848 0.152 0.288 O
0.848 0.695 0.288 O
0.972 0.486 0.622 O
```

Calculated values
The calculation puts the formation energy at -2.34 eV per atom. The energy with MP2020 corrections comes out at -333.64 eV/cell. Its total magnetic moment is 0.67 μB per formula unit. For the energy above the most stable polymorph in this dataset, the calculation gives 0.00 eV/f.u.


Record 4
Compound: V6H2Pb4Se3O26
Source: the Materials Project
Functional: GGA+U
Structure: optimized geometry

```
V6H2Pb4Se3O26
1.0
7.255 0.000 0.000
0.000 21.741 0.000
-0.612 0.000 7.362
V H Pb Se O
12 4 8 6 52
Direct
0.022 0.000 0.336 V
0.102 0.701 0.303 V
0.155 0.086 0.701 V
0.183 0.786 0.683 V
0.354 0.583 0.354 V
0.398 0.205 0.635 V
0.602 0.705 0.365 V
0.646 0.083 0.646 V
0.817 0.286 0.317 V
0.845 0.586 0.299 V
0.898 0.201 0.697 V
0.978 0.500 0.664 V
0.367 0.656 0.804 H
0.419 0.146 0.145 H
0.581 0.646 0.855 H
0.633 0.156 0.196 H
0.069 0.444 0.161 Pb
0.287 0.844 0.183 Pb
0.299 0.283 0.108 Pb
0.476 0.514 0.875 Pb
0.524 0.014 0.125 Pb
0.701 0.783 0.892 Pb
0.713 0.344 0.817 Pb
0.931 0.944 0.839 Pb
0.003 0.643 0.819 Se
0.213 0.369 0.670 Se
0.421 0.919 0.690 Se
0.579 0.419 0.310 Se
0.787 0.869 0.330 Se
0.997 0.143 0.181 Se
0.005 0.823 0.770 O
0.068 0.089 0.353 O
0.096 0.432 0.552 O
0.098 0.364 0.864 O
0.101 0.610 0.293 O
0.102 0.013 0.603 O
0.105 0.725 0.092 O
0.111 0.696 0.678 O
0.132 0.772 0.421 O
0.134 0.504 0.854 O
0.151 0.181 0.681 O
0.204 0.067 0.915 O
0.204 0.175 0.154 O
0.210 0.968 0.261 O
0.303 0.857 0.572 O
0.316 0.922 0.890 O
0.337 0.549 0.554 O
0.353 0.675 0.360 O
0.356 0.526 0.194 O
0.356 0.780 0.851 O
0.365 0.386 0.246 O
0.377 0.241 0.438 O
0.391 0.107 0.630 O
0.421 0.404 0.743 O
0.436 0.262 0.793 O
0.455 0.633 0.885 O
0.545 0.133 0.115 O
0.564 0.762 0.207 O
0.579 0.904 0.257 O
0.609 0.607 0.370 O
0.623 0.741 0.562 O
0.635 0.886 0.754 O
0.644 0.026 0.806 O
0.644 0.280 0.149 O
0.647 0.175 0.640 O
0.663 0.049 0.446 O
0.684 0.422 0.110 O
0.697 0.357 0.428 O
0.790 0.468 0.739 O
0.796 0.567 0.085 O
0.796 0.675 0.846 O
0.849 0.681 0.319 O
0.866 0.004 0.146 O
0.868 0.272 0.579 O
0.889 0.196 0.322 O
0.895 0.225 0.908 O
0.898 0.513 0.397 O
0.899 0.110 0.707 O
0.902 0.864 0.136 O
0.904 0.932 0.448 O
0.932 0.589 0.647 O
0.995 0.323 0.230 O
```

Calculated values
The calculation puts the formation energy at -1.90 eV per atom. The energy with MP2020 corrections comes out at -586.40 eV/cell. Its total magnetic moment is 0.00 μB per formula unit. For the energy above the most stable polymorph in this dataset, the calculation gives 0.00 eV/f.u.


Record 5
Compound: Na3Ni2P2C2O14
Source: the Materials Project
Functional: GGA+U
Structure: optimized geometry

```
Na3Ni2P2C2O14
1.0
6.519 0.000 0.000
0.153 10.161 0.000
0.017 4.977 9.056
Na Ni P C O
6 4 4 4 28
Direct
0.010 0.246 0.250 Na
0.031 0.244 0.750 Na
0.484 0.246 0.253 Na
0.516 0.754 0.747 Na
0.969 0.756 0.250 Na
0.990 0.754 0.750 Na
0.255 0.847 0.939 Ni
0.256 0.842 0.435 Ni
0.744 0.158 0.565 Ni
0.745 0.153 0.061 Ni
0.249 0.073 0.074 P
0.250 0.077 0.569 P
0.750 0.923 0.431 P
0.751 0.927 0.926 P
0.250 0.574 0.106 C
0.251 0.571 0.608 C
0.749 0.429 0.392 C
0.750 0.426 0.894 C
0.061 0.178 0.555 O
0.062 0.177 0.057 O
0.241 0.924 0.221 O
0.243 0.036 0.945 O
0.245 0.435 0.192 O
0.246 0.038 0.440 O
0.249 0.434 0.697 O
0.250 0.627 0.466 O
0.250 0.674 0.150 O
0.251 0.929 0.717 O
0.254 0.674 0.650 O
0.257 0.635 0.963 O
0.436 0.169 0.066 O
0.437 0.176 0.549 O
0.563 0.824 0.451 O
0.564 0.831 0.934 O
0.743 0.365 0.037 O
0.746 0.326 0.350 O
0.749 0.071 0.283 O
0.750 0.326 0.850 O
0.750 0.373 0.534 O
0.751 0.566 0.303 O
0.754 0.962 0.560 O
0.755 0.565 0.808 O
0.757 0.964 0.055 O
0.759 0.076 0.779 O
0.938 0.823 0.943 O
0.939 0.822 0.445 O
```

Calculated values
The calculation puts the formation energy at -1.96 eV per atom. The energy with MP2020 corrections comes out at -318.19 eV/cell. Its total magnetic moment is 3.00 μB per formula unit. For the energy above the most stable polymorph in this dataset, the calculation gives 0.80 eV/f.u.


Record 6
Compound: W2CO
Source: the Materials Project
Functional: GGA+U
Structure: optimized geometry

```
W2CO
1.0
3.016 0.000 0.000
0.000 3.037 0.000
0.000 0.000 5.092
W C O
2 1 1
Direct
0.000 0.000 0.000 W
0.500 0.000 0.471 W
0.000 0.500 0.320 C
0.500 0.500 0.820 O
```

Calculated values
The calculation puts the formation energy at 0.75 eV per atom. The energy with MP2020 corrections comes out at -37.10 eV/cell. Its total magnetic moment is 1.20 μB per formula unit. For the energy above the most stable polymorph in this dataset, the calculation gives 0.00 eV/f.u.